32
Lattice="-3.7464 -0.9596 -4.5031 2.5171 5.7840 -1.3662 6.7915 -3.1799 -2.3767" Properties=species:S:1:pos:R:3 comment="Li9Mn2Co5O16 (PBE with a Hubbard U, relaxed)" magnetic_moment_mub_per_fu=12.0 energy_corrected_mp2020_ev_per_atom=-6.511 pbc="T T T"
O -1.6059 -1.0650 -4.0981
O 6.6812 -1.3389 -2.9477
O 0.0502 -0.6133 -1.8934
O 4.9579 0.6833 -3.6540
O 2.9104 -0.9983 -3.5474
O 3.0276 0.3516 -5.9280
O 2.9108 2.7337 -4.5677
O 0.5180 3.4016 -3.2036
O 0.6684 0.9502 -4.5559
O 2.5548 1.4177 -2.3094
O 7.1014 2.7121 -4.1905
O -1.3830 2.8953 -5.4462
O 0.8119 -1.5408 -5.9536
O 4.7436 3.2022 -2.3064
O 5.0404 -1.7949 -5.0433
O 5.4986 2.1344 -6.3578
Li 5.0513 2.7426 -4.4093
Li 2.5240 -0.5797 -1.6176
Li 2.9266 -1.6216 -5.4973
Li 0.5321 -1.0567 -3.9133
Li 5.1039 0.2050 -5.7151
Li 0.3550 1.4353 -2.5255
Li 7.0023 0.6419 -3.3788
Li -1.4383 0.9634 -4.7742
Li 3.1054 2.2476 -6.6087
Co 4.7719 -1.1749 -3.2417
Co 2.6330 3.2777 -2.7599
Co 2.8404 0.8351 -4.1257
Co 0.7801 2.8150 -5.0061
Co 0.9932 0.3345 -6.3553
Mn 7.3807 2.1174 -6.0096
Mn 9.2560 2.6015 -3.7376